First-principles (GGA+U) data for a relaxed structure of LiFePO4, as listed in the Materials Project.

```
data_LiFePO4
_cell_length_a 4.736
_cell_length_b 8.088
_cell_length_c 9.761
_cell_angle_alpha 90.00
_cell_angle_beta 119.02
_cell_angle_gamma 90.00
_space_group_name_H-M_alt 'P 1 c 1'
_space_group_IT_number 7
loop_
_space_group_symop_operation_xyz
'x,y,z'
'x,-y,z+1/2'
loop_
_atom_site_label
_atom_site_type_symbol
_atom_site_fract_x
_atom_site_fract_y
_atom_site_fract_z
Li1 Li 0.000 0.139 0.000
Li2 Li 0.492 0.360 0.992
Fe1 Fe 0.753 0.186 0.652
Fe2 Fe 0.942 0.315 0.340
P1 P 0.175 0.492 0.164
P2 P 0.339 0.008 0.828
O1 O 0.020 0.342 0.571
O2 O 0.038 0.009 0.165
O3 O 0.200 0.491 0.827
O4 O 0.285 0.153 0.915
O5 O 0.369 0.158 0.420
O6 O 0.517 0.461 0.183
O7 O 0.643 0.039 0.809
O8 O 0.948 0.346 0.078
```

Values from the calculation:
**Offset from the most stable computed form**: 83.0 meV/atom
**Uncorrected energy**: -6.766 eV/atom
**ΔH_f (0 K)**: -2.397 eV per atom
**Size of the total moment**: 0.00 μB/f.u.

=====

First-principles (GGA+U) data for a relaxed structure of Li3Fe2P3O12, as listed in the Materials Project.

```
data_Li3Fe2P3O12
_cell_length_a 11.602
_cell_length_b 12.759
_cell_length_c 6.417
_cell_angle_alpha 90.00
_cell_angle_beta 114.88
_cell_angle_gamma 90.00
_space_group_name_H-M_alt 'C 1 2/c 1'
_space_group_IT_number 15
loop_
_space_group_symop_operation_xyz
'x,y,z'
'-x,-y,-z'
'-x,y,-z+1/2'
'x,-y,z+1/2'
'x+1/2,y+1/2,z'
'-x+1/2,-y+1/2,-z'
'-x+1/2,y+1/2,-z+1/2'
'x+1/2,-y+1/2,z+1/2'
loop_
_atom_site_label
_atom_site_type_symbol
_atom_site_fract_x
_atom_site_fract_y
_atom_site_fract_z
Li1 Li 0.000 0.000 0.000
Li2 Li 0.000 0.210 0.250
Li3 Li 0.000 0.466 0.250
Fe1 Fe 0.212 0.348 0.127
P1 P 0.000 0.207 0.750
P2 P 0.234 0.398 0.630
O1 O 0.047 0.274 0.972
O2 O 0.104 0.133 0.738
O3 O 0.125 0.082 0.302
O4 O 0.153 0.498 0.092
O5 O 0.167 0.340 0.394
O6 O 0.216 0.329 0.815
```

Values from the calculation:
**Offset from the most stable computed form**: 37.3 meV/atom
**Uncorrected energy**: -6.746 eV/atom
**ΔH_f (0 K)**: -2.470 eV per atom
**Size of the total moment**: 10.00 μB/f.u.

=====

First-principles (GGA+U) data for a relaxed structure of LiFeP3O9, as listed in the Materials Project.

```
data_LiFeP3O9
_cell_length_a 9.469
_cell_length_b 9.525
_cell_length_c 9.768
_cell_angle_alpha 108.70
_cell_angle_beta 104.48
_cell_angle_gamma 110.54
_space_group_name_H-M_alt 'P -1'
_space_group_IT_number 2
loop_
_space_group_symop_operation_xyz
'x,y,z'
'-x,-y,-z'
loop_
_atom_site_label
_atom_site_type_symbol
_atom_site_fract_x
_atom_site_fract_y
_atom_site_fract_z
Li1 Li 0.074 0.308 0.214
Li2 Li 0.233 0.775 0.742
Fe1 Fe 0.332 0.934 0.508
Fe2 Fe 0.376 0.173 0.300
P1 P 0.010 0.396 0.647
P2 P 0.046 0.786 0.156
P3 P 0.193 0.082 0.916
P4 P 0.325 0.432 0.593
P5 P 0.419 0.660 0.290
P6 P 0.481 0.853 0.105
O1 O 0.007 0.368 0.800
O2 O 0.038 0.568 0.678
O3 O 0.049 0.730 0.998
O4 O 0.103 0.171 0.840
O5 O 0.109 0.900 0.803
O6 O 0.143 0.750 0.497
O7 O 0.166 0.372 0.631
O8 O 0.208 0.935 0.296
O9 O 0.219 0.136 0.087
O10 O 0.269 0.522 0.269
O11 O 0.283 0.316 0.426
O12 O 0.367 0.180 0.908
O13 O 0.371 0.827 0.953
O14 O 0.388 0.700 0.142
O15 O 0.406 0.620 0.648
O16 O 0.433 0.386 0.713
O17 O 0.456 0.982 0.746
O18 O 0.493 0.828 0.445
```

Values from the calculation:
**Offset from the most stable computed form**: 44.1 meV/atom
**Uncorrected energy**: -6.990 eV/atom
**ΔH_f (0 K)**: -2.510 eV per atom
**Size of the total moment**: 4.00 μB/f.u.

=====

First-principles (GGA+U) data for a relaxed structure of LiFePO4, as listed in the Materials Project.

```
data_LiFePO4
_cell_length_a 10.1249
_cell_length_b 10.1249
_cell_length_c 22.9159
_cell_angle_alpha 90.00
_cell_angle_beta 90.00
_cell_angle_gamma 120.00
_space_group_name_H-M_alt 'P 65'
_space_group_IT_number 170
loop_
_space_group_symop_operation_xyz
'x,y,z'
'x-y,x,z+5/6'
'-y,x-y,z+2/3'
'-x,-y,z+1/2'
'-x+y,-x,z+1/3'
'y,-x+y,z+1/6'
loop_
_atom_site_label
_atom_site_type_symbol
_atom_site_fract_x
_atom_site_fract_y
_atom_site_fract_z
Li1 Li 0.0021 0.9433 0.0000
Li2 Li 0.0189 0.4779 0.1681
Li3 Li 0.0612 0.5160 0.8372
Li4 Li 0.0636 0.5631 0.4975
Fe1 Fe 0.1166 0.3037 0.2574
Fe2 Fe 0.1439 0.8327 0.2601
Fe3 Fe 0.1738 0.7870 0.9578
Fe4 Fe 0.3238 0.6550 0.0661
P1 P 0.1195 0.3370 0.3946
P2 P 0.1291 0.7776 0.0900
P3 P 0.1451 0.3175 0.0612
P4 P 0.3114 0.6388 0.2568
O1 O 0.0122 0.6809 0.1382
O2 O 0.0166 0.1935 0.4329
O3 O 0.0174 0.7072 0.3801
O4 O 0.0303 0.1632 0.0909
O5 O 0.0361 0.3230 0.3360
O6 O 0.0705 0.7263 0.7143
O7 O 0.0712 0.1999 0.7441
O8 O 0.0794 0.3406 0.0031
O9 O 0.0799 0.6759 0.0334
O10 O 0.1429 0.4815 0.4276
O11 O 0.1581 0.6385 0.2588
O12 O 0.1774 0.4519 0.1028
O13 O 0.1873 0.4778 0.7755
O14 O 0.2111 0.7132 0.5543
O15 O 0.2120 0.6557 0.8974
O16 O 0.2552 0.6303 0.6520
```

Values from the calculation:
**Offset from the most stable computed form**: 174.5 meV/atom
**Uncorrected energy**: -6.674 eV/atom
**ΔH_f (0 K)**: -2.306 eV per atom
**Size of the total moment**: 4.00 μB/f.u.

=====

First-principles (GGA+U) data for a relaxed structure of Li8Fe7P8O32, as listed in the Materials Project.

```
data_Li8Fe7P8O32
_cell_length_a 12.134
_cell_length_b 9.532
_cell_length_c 10.373
_cell_angle_alpha 90.00
_cell_angle_beta 90.00
_cell_angle_gamma 90.00
_space_group_name_H-M_alt 'P m n 21'
_space_group_IT_number 31
loop_
_space_group_symop_operation_xyz
'x,y,z'
'-x+1/2,-y,z+1/2'
'-x,y,z'
'x+1/2,-y,z+1/2'
loop_
_atom_site_label
_atom_site_type_symbol
_atom_site_fract_x
_atom_site_fract_y
_atom_site_fract_z
Li1 Li 0.119 0.131 0.000
Li2 Li 0.120 0.370 0.475
Li3 Li 0.122 0.620 0.000
Li4 Li 0.122 0.874 0.491
Fe1 Fe 0.000 0.137 0.709
Fe2 Fe 0.000 0.628 0.704
Fe3 Fe 0.000 0.867 0.215
Fe4 Fe 0.246 0.613 0.270
Fe5 Fe 0.248 0.114 0.274
P1 P 0.000 0.084 0.406
P2 P 0.000 0.416 0.894
P3 P 0.000 0.585 0.392
P4 P 0.000 0.913 0.895
P5 P 0.249 0.668 0.587
P6 P 0.249 0.832 0.087
O1 O 0.000 0.012 0.542
O2 O 0.000 0.242 0.417
O3 O 0.000 0.255 0.891
O4 O 0.000 0.482 0.027
O5 O 0.000 0.526 0.536
O6 O 0.000 0.747 0.393
O7 O 0.000 0.751 0.885
O8 O 0.000 0.972 0.035
O9 O 0.099 0.483 0.813
O10 O 0.101 0.018 0.333
O11 O 0.102 0.980 0.827
O12 O 0.105 0.523 0.330
O13 O 0.137 0.727 0.650
O14 O 0.148 0.765 0.159
O15 O 0.151 0.236 0.661
O16 O 0.159 0.255 0.159
O17 O 0.248 0.494 0.094
O18 O 0.248 0.769 0.949
O19 O 0.249 0.007 0.590
O20 O 0.249 0.278 0.945
```

Values from the calculation:
**Offset from the most stable computed form**: 192.5 meV/atom
**Uncorrected energy**: -6.604 eV/atom
**ΔH_f (0 K)**: -2.269 eV per atom
**Size of the total moment**: 5.21 μB/f.u.